Entry i
Ca2SiO4: optimized geometry, PBE.

Summary:
- calculated volume (Å³ per atom) = 14.14

Cell lengths 11.344, 6.809, 5.124 Å; angles 90.00, 90.00, 90.00 degrees
Space group Pnma (No. 62)
Inequivalent atoms, fractional coordinates:
1 Ca 0.000 0.000 0.000
2 Ca 0.219 0.250 0.492
3 Si 0.096 0.750 0.427
4 O 0.039 0.250 0.703
5 O 0.093 0.750 0.747
6 O 0.162 0.555 0.296

Entry ii
Ca2SiO4: optimized geometry, PBE.

Summary:
- calculated volume (Å³ per atom) = 14.33

Cell lengths 5.5352, 5.5352, 7.5625 Å; angles 90.00, 90.00, 120.00 degrees
Space group P6_3mc (No. 186)
Inequivalent atoms, fractional coordinates:
1 Ca 0.0000 0.0000 0.0000
2 Ca 0.3333 0.6667 0.2593
3 Si 0.3333 0.6667 0.7783
4 O 0.1698 0.3397 0.7145
5 O 0.3333 0.6667 0.9922

In terms of stability, entry i leads; the second structure lies 0.233 eV/atom higher.

Entry i
CsHfMg14O15: optimized geometry, PBE.

Summary:
- calculated volume (Å³ per atom) = 13.11

Cell lengths 4.165, 8.397, 11.616 Å; angles 90.00, 90.00, 90.00 degrees
Space group Pmm2 (No. 25)
Inequivalent atoms, fractional coordinates:
1 Cs 0.000 0.000 0.000
2 Hf 0.000 0.500 0.535
3 Mg 0.000 0.000 0.542
4 Mg 0.000 0.234 0.322
5 Mg 0.000 0.248 0.740
6 Mg 0.000 0.500 0.113
7 Mg 0.500 0.000 0.333
8 Mg 0.500 0.000 0.728
9 Mg 0.500 0.240 0.538
10 Mg 0.500 0.245 0.152
11 Mg 0.500 0.500 0.324
12 Mg 0.500 0.500 0.797
13 O 0.000 0.000 0.369
14 O 0.000 0.000 0.731
15 O 0.000 0.256 0.553
16 O 0.000 0.270 0.152
17 O 0.000 0.500 0.362
18 O 0.500 0.000 0.160
19 O 0.500 0.000 0.549
20 O 0.500 0.250 0.739
21 O 0.500 0.251 0.351
22 O 0.500 0.500 0.151
23 O 0.500 0.500 0.534

Entry ii
CsHfMg14O15: optimized geometry, PBE.

Summary:
- calculated volume (Å³ per atom) = 12.87

Cell lengths 4.130, 8.378, 11.534 Å; angles 90.00, 90.00, 90.00 degrees
Space group Pmm2 (No. 25)
Inequivalent atoms, fractional coordinates:
1 Cs 0.000 0.000 0.000
2 Hf 0.000 0.500 0.100
3 Mg 0.000 0.000 0.545
4 Mg 0.000 0.246 0.735
5 Mg 0.000 0.247 0.351
6 Mg 0.000 0.500 0.536
7 Mg 0.500 0.000 0.349
8 Mg 0.500 0.000 0.730
9 Mg 0.500 0.232 0.174
10 Mg 0.500 0.257 0.550
11 Mg 0.500 0.500 0.353
12 Mg 0.500 0.500 0.805
13 O 0.000 0.000 0.371
14 O 0.000 0.000 0.738
15 O 0.000 0.254 0.554
16 O 0.000 0.277 0.159
17 O 0.000 0.500 0.357
18 O 0.500 0.000 0.166
19 O 0.500 0.000 0.553
20 O 0.500 0.251 0.352
21 O 0.500 0.254 0.747
22 O 0.500 0.500 0.150
23 O 0.500 0.500 0.538

In terms of stability, entry ii leads; the second structure lies 0.037 eV/atom higher.

Entry i
Li3ScF6: optimized geometry, PBE.

Summary:
- calculated volume (Å³ per atom) = 11.02

Cell lengths 8.8965, 8.8965, 9.6491 Å; angles 90.00, 90.00, 120.00 degrees
Space group P-3c1 (No. 165)
Inequivalent atoms, fractional coordinates:
1 Li 0.0000 0.3005 0.2500
2 Li 0.0203 0.3608 0.9632
3 Sc 0.0000 0.0000 0.0000
4 Sc 0.3333 0.6667 0.2361
5 F 0.1090 0.2268 0.1072
6 F 0.1119 0.5406 0.1185
7 F 0.2160 0.4474 0.3552

Entry ii
Li3ScF6: optimized geometry, PBE.

Summary:
- calculated volume (Å³ per atom) = 12.53

Cell lengths 7.944, 7.944, 7.944 Å; angles 90.00, 90.00, 90.00 degrees
Space group Fm-3m (No. 225)
Inequivalent atoms, fractional coordinates:
1 Li 0.000 0.000 0.000
2 Li 0.250 0.250 0.250
3 Sc 0.000 0.000 0.500
4 F 0.000 0.000 0.248

In terms of stability, entry i leads; the second structure lies 0.233 eV/atom higher.

Entry i
Mo3WSe6S2: optimized geometry, PBE.

Summary:
- calculated volume (Å³ per atom) = 29.24

Cell lengths 3.2916, 3.2916, 37.4000 Å; angles 90.00, 90.00, 120.00 degrees
Space group P3m1 (No. 156)
Inequivalent atoms, fractional coordinates:
1 Mo 0.0000 0.0000 0.0000
2 Mo 0.0000 0.0000 0.3757
3 Mo 0.3333 0.6667 0.1879
4 W 0.3333 0.6667 0.5637
5 Se 0.0000 0.0000 0.1428
6 Se 0.0000 0.0000 0.2330
7 Se 0.0000 0.0000 0.5183
8 Se 0.0000 0.0000 0.6090
9 Se 0.3333 0.6667 0.3307
10 Se 0.3333 0.6667 0.4208
11 S 0.3333 0.6667 0.0410
12 S 0.3333 0.6667 0.9590

Entry ii
Mo3WSe6S2: optimized geometry, PBE.

Summary:
- calculated volume (Å³ per atom) = 29.11

Cell lengths 3.2863, 3.2863, 37.3463 Å; angles 90.00, 90.00, 120.00 degrees
Space group P3m1 (No. 156)
Inequivalent atoms, fractional coordinates:
1 Mo 0.0000 0.0000 0.0000
2 Mo 0.0000 0.0000 0.3757
3 Mo 0.3333 0.6667 0.1879
4 W 0.3333 0.6667 0.5636
5 Se 0.0000 0.0000 0.1427
6 Se 0.0000 0.0000 0.2331
7 Se 0.3333 0.6667 0.0452
8 Se 0.3333 0.6667 0.3306
9 Se 0.3333 0.6667 0.4209
10 Se 0.3333 0.6667 0.9548
11 S 0.0000 0.0000 0.5223
12 S 0.0000 0.0000 0.6049

In terms of stability, entry ii leads; the second structure lies 0.016 eV/atom higher.

Entry i
SbP4O12: optimized geometry, PBE.

Summary:
- calculated volume (Å³ per atom) = 16.62

Cell lengths 17.125, 12.292, 5.450 Å; angles 90.00, 99.95, 90.00 degrees
Space group C2/m (No. 12)
Inequivalent atoms, fractional coordinates:
1 Sb 0.250 0.250 0.000
2 P 0.073 0.199 0.181
3 P 0.173 0.379 0.454
4 O 0.000 0.259 0.000
5 O 0.050 0.110 0.329
6 O 0.098 0.310 0.350
7 O 0.140 0.178 0.031
8 O 0.140 0.500 0.380
9 O 0.191 0.373 0.737
10 O 0.242 0.355 0.320

Entry ii
SbP4O12: optimized geometry, PBE.

Summary:
- calculated volume (Å³ per atom) = 13.43

Cell lengths 7.154, 8.471, 7.541 Å; angles 90.00, 91.50, 90.00 degrees
Space group P2_1 (No. 4)
Inequivalent atoms, fractional coordinates:
1 Sb 0.250 0.000 0.248
2 P 0.004 0.172 0.610
3 P 0.086 0.440 0.093
4 P 0.396 0.260 0.585
5 P 0.438 0.644 0.083
6 O 0.001 0.959 0.093
7 O 0.011 0.074 0.791
8 O 0.027 0.065 0.453
9 O 0.084 0.283 0.179
10 O 0.168 0.776 0.394
11 O 0.184 0.281 0.644
12 O 0.302 0.496 0.075
13 O 0.337 0.800 0.063
14 O 0.400 0.202 0.397
15 O 0.405 0.119 0.044
16 O 0.475 0.125 0.717
17 O 0.487 0.417 0.623

In terms of stability, entry ii leads; the second structure lies 0.026 eV/atom higher.

Entry i
Bi2PO6: optimized geometry, PBE.

Summary:
- calculated volume (Å³ per atom) = 13.42

Cell lengths 5.730, 14.638, 5.761 Å; angles 90.00, 90.00, 90.00 degrees
Space group Ccce (No. 68, origin choice 2)
Inequivalent atoms, fractional coordinates:
1 Bi 0.000 0.084 0.250
2 P 0.000 0.250 0.750
3 O 0.150 0.183 0.601
4 O 0.250 0.000 0.488

Entry ii
Bi2PO6: optimized geometry, PBE.

Summary:
- calculated volume (Å³ per atom) = 13.79

Cell lengths 7.030, 7.053, 10.537 Å; angles 90.00, 108.17, 90.00 degrees
Space group P2_1/c (No. 14)
Inequivalent atoms, fractional coordinates:
1 Bi 0.105 0.123 0.318
2 Bi 0.246 0.603 0.526
3 P 0.370 0.069 0.669
4 O 0.009 0.570 0.620
5 O 0.078 0.706 0.862
6 O 0.228 0.608 0.128
7 O 0.315 0.207 0.548
8 O 0.333 0.148 0.798
9 O 0.406 0.518 0.786

In terms of stability, entry ii leads; the second structure lies 0.008 eV/atom higher.